## SrCaYBiO6 (PBE)

Data for SrCaYBiO6 after structural relaxation.

**Spin magnetization**: 0.0 Bohr magnetons per cell
**Relative energy among the computed polymorphs**: 67.6 meV per atom

Cell: 8.4662 8.4763 8.4782 Å, 90.00 90.00 90.00°
Closest atoms and distances in Å follow each position.
Space group P222 (No. 16)
One atom of each set of equivalent atoms:
Sr1 0.0000 0.0000 0.0000  4 O 2.49
Sr2 0.0000 0.0000 0.5000  4 O 2.51
Sr3 0.5000 0.0000 0.0000  4 O 2.51
Sr4 0.5000 0.5000 0.5000  4 O 2.50
Ca1 0.0000 0.5000 0.0000  12 O 2.95-3.00
Ca2 0.0000 0.5000 0.5000  4 O 2.39
Ca3 0.5000 0.0000 0.5000  12 O 2.96-2.99
Ca4 0.5000 0.5000 0.0000  4 O 2.39
Y1 0.2497 0.2523 0.7499  6 O 2.23-2.26
Bi1 0.2497 0.2526 0.2502  6 O 2.12-2.14
O1 0.0068 0.2152 0.2001  1 Bi 2.12, 1 Y 2.23
O2 0.1941 0.4932 0.2959  1 Bi 2.13, 1 Y 2.24
O3 0.2160 0.2026 0.4935  1 Bi 2.12, 1 Y 2.23
O4 0.2935 0.3076 0.0076  1 Bi 2.14, 1 Y 2.26, 1 Ca 2.39
O5 0.2944 0.0073 0.2136  1 Bi 2.14, 1 Y 2.25
O6 0.4935 0.2865 0.2967  1 Bi 2.12, 1 Y 2.23

=====

## Ti7O13 (PBE)

Data for Ti7O13 after structural relaxation.

Cell: 5.5925 7.1915 11.4083 Å, 83.96 89.28 71.33°
Closest atoms and distances in Å follow each position.
Space group P-1 (No. 2)
One atom of each set of equivalent atoms:
Ti1 0.0000 0.0000 0.0000  6 O 2.00-2.03
Ti2 0.0000 0.5000 0.0000  6 O 1.98-2.03
Ti3 0.2058 0.2890 0.5518  4 O 1.87-2.03
Ti4 0.2058 0.7904 0.5556  5 O 1.84-2.06
Ti5 0.2152 0.4865 0.2926  4 O 1.88-2.00
Ti6 0.2169 0.9826 0.2932  5 O 1.90-2.10
Ti7 0.3859 0.7644 0.8555  6 O 1.91-2.09
Ti8 0.3901 0.2640 0.8531  6 O 1.94-2.09
O1 0.0323 0.9257 0.8320  3 Ti 1.92-2.03
O2 0.0572 0.0680 0.5920  4 Ti 1.99-2.19
O3 0.1152 0.2314 0.9492  3 Ti 1.94-2.00
O4 0.1269 0.2356 0.3763  4 Ti 2.06-2.16
O5 0.1478 0.3664 0.7058  3 Ti 1.89-2.09
O6 0.1985 0.5520 0.4727  4 Ti 2.00-2.19
O7 0.2432 0.4052 0.1405  3 Ti 1.88-2.04
O8 0.2808 0.5292 0.8993  3 Ti 1.94-1.99
O9 0.3190 0.7127 0.2506  3 Ti 1.91-2.04
O10 0.3635 0.8306 0.0143  3 Ti 1.91-2.01
O11 0.4248 0.6870 0.6830  2 Ti 1.84-2.00
O12 0.4476 0.8440 0.4449  2 Ti 1.87-1.94
O13 0.4977 0.0051 0.2045  3 Ti 1.90-2.02

=====

## Mg6Si5 (PBE)

Data for Mg6Si5 after structural relaxation.

**Spin magnetization**: 0.0 Bohr magnetons per cell
**Relative energy among the computed polymorphs**: 73.7 meV per atom

Cell: 4.3092 8.5177 12.0573 Å, 79.08 83.16 79.56°
Closest atoms and distances in Å follow each position.
Space group P1 (No. 1)
One atom of each set of equivalent atoms:
Mg1 0.0000 0.0000 0.0000  4 Si 2.58-2.82
Mg2 0.0074 0.1151 0.7181  7 Si 2.82-3.00
Mg3 0.0480 0.4328 0.0749  2 Si 2.53-2.66
Mg4 0.0678 0.3625 0.3511  3 Si 2.66-2.90, 1 Mg 2.95
Mg5 0.2189 0.9844 0.4471  3 Si 2.80-3.13, 2 Mg 3.09-3.10
Mg6 0.2308 0.7120 0.6774  5 Si 2.74-3.02
Mg7 0.4226 0.6065 0.4219  4 Si 2.67-2.98
Mg8 0.5211 0.7186 0.0549  5 Si 2.67-2.87
Mg9 0.5508 0.2407 0.5147  3 Si 2.63-2.85
Mg10 0.7433 0.4752 0.8471  3 Si 2.76-3.07
Mg11 0.7687 0.1274 0.2576  4 Si 2.73-2.90, 1 Mg 3.01
Mg12 0.9206 0.7504 0.2460  4 Si 2.83-3.07, 3 Mg 3.08-3.14
Si1 0.0891 0.7157 0.9043  2 Si 2.51-2.73, 2 Mg 2.74-2.76
Si2 0.3672 0.9669 0.1799  1 Si 2.60, 6 Mg 2.73-2.85
Si3 0.3806 0.3791 0.7062  2 Si 2.39-2.54
Si4 0.4353 0.1627 0.8640  3 Si 2.39-2.51
Si5 0.5286 0.2204 0.0436  2 Si 2.40-2.60, 2 Mg 2.53-2.58
Si6 0.5629 0.4752 0.2309  6 Mg 2.66-2.90
Si7 0.5882 0.8767 0.8286  3 Si 2.40-2.51
Si8 0.6230 0.9409 0.6257  2 Si 2.40-2.44, 1 Mg 2.63
Si9 0.8388 0.7418 0.5037  2 Si 2.44-2.49, 2 Mg 2.67-2.72
Si10 0.9345 0.4454 0.5760  3 Si 2.49-2.78

=====

## AcAgAu2 (PBE)

Data for AcAgAu2 after structural relaxation.

Cell: 7.3544 7.3544 7.3544 Å, 90.00 90.00 90.00°
Closest atoms and distances in Å follow each position.
Space group Fm-3m (No. 225)
One atom of each set of equivalent atoms:
Ac1 0.0000 0.0000 0.0000  8 Au 3.18
Ag1 0.0000 0.0000 0.5000  8 Au 3.18
Au1 0.2500 0.2500 0.2500  4 Ac 3.18, 4 Ag 3.18

=====

## BaGa2Ge2O8 (PBE)

Data for BaGa2Ge2O8 after structural relaxation.

**Spin magnetization**: 0.0 Bohr magnetons per cell
**Relative energy among the computed polymorphs**: 15.3 meV per atom

Cell: 13.9964 13.7235 9.0241 Å, 90.00 100.95 90.00°
Closest atoms and distances in Å follow each position.
Space group C2/c (No. 15)
One atom of each set of equivalent atoms:
Ba1 0.1831 0.2497 0.2077  7 O 2.65-2.95
Ga1 0.0761 0.1276 0.5270  4 O 1.84-1.86
Ga2 0.1346 0.4327 0.8857  4 O 1.83-1.87
Ge1 0.0769 0.3652 0.5193  4 O 1.76-1.77
Ge2 0.1418 0.0702 0.8968  4 O 1.75-1.79
O1 0.0501 0.3715 0.9923  1 Ge 1.76, 1 Ga 1.86
O2 0.0575 0.1217 0.9986  1 Ge 1.77, 1 Ga 1.84
O3 0.1035 0.2488 0.4523  1 Ge 1.77, 1 Ga 1.86
O4 0.1200 0.4350 0.3804  1 Ge 1.77, 1 Ga 1.83
O5 0.1308 0.0568 0.3886  1 Ge 1.75, 1 Ga 1.86
O6 0.1464 0.1248 0.7214  1 Ge 1.76, 1 Ga 1.84
O7 0.1470 0.3792 0.7022  1 Ge 1.76, 1 Ga 1.85
O8 0.2488 0.3789 0.9972  1 Ge 1.79, 1 Ga 1.87

=====

## P (PBE)

Data for P after structural relaxation.

**Relative energy among the computed polymorphs**: 143.7 meV per atom

Cell: 2.4475 2.4475 2.4475 Å, 90.00 90.00 90.00°
Closest atoms and distances in Å follow each position.
Space group Pm-3m (No. 221)
One atom of each set of equivalent atoms:
P1 0.0000 0.0000 0.0000  6 P 2.45

=====

## UVN2 (PBE)

Data for UVN2 after structural relaxation.

Cell: 5.4467 3.1570 10.6884 Å, 90.00 90.00 90.00°
Closest atoms and distances in Å follow each position.
Space group Pnma (No. 62)
One atom of each set of equivalent atoms:
U1 0.0786 0.2500 0.1433  7 N 2.33-2.46
V1 0.0758 0.7500 0.4018  5 N 2.06-2.12
N1 0.1637 0.2500 0.7544  2 V 2.12, 2 U 2.33
N2 0.2410 0.2500 0.4930  3 V 2.06

=====

## SiBiO3 (PBE)

Data for SiBiO3 after structural relaxation.

**Spin magnetization**: 0.0 Bohr magnetons per cell

Cell: 3.7987 3.7987 3.7987 Å, 90.00 90.00 90.00°
Closest atoms and distances in Å follow each position.
Space group Pm-3m (No. 221)
One atom of each set of equivalent atoms:
Si1 0.0000 0.0000 0.0000  6 O 1.90
Bi1 0.5000 0.5000 0.5000  12 O 2.69
O1 0.0000 0.0000 0.5000  2 Si 1.90

=====

## GdMnGe (PBE)

Data for GdMnGe after structural relaxation.

**Spin magnetization**: 40.2 Bohr magnetons per cell

Cell: 7.0358 3.8833 8.0622 Å, 90.00 90.00 90.00°
Closest atoms and distances in Å follow each position.
Space group Pnma (No. 62)
One atom of each set of equivalent atoms:
Gd1 0.0225 0.2500 0.1790  5 Ge 2.93-2.95, 3 Mn 3.06-3.12
Mn1 0.1209 0.2500 0.5562  3 Ge 2.44-2.46
Ge1 0.2204 0.7500 0.3897  3 Mn 2.44-2.46

=====

## ScAl2 (PBE)

Data for ScAl2 after structural relaxation.

Cell: 7.5863 7.5863 7.5863 Å, 90.00 90.00 90.00°
Closest atoms and distances in Å follow each position.
Space group Fd-3m (No. 227, origin choice 2)
One atom of each set of equivalent atoms:
Sc1 0.1250 0.1250 0.1250  12 Al 3.15, 4 Sc 3.28
Al1 0.0000 0.0000 0.5000  6 Al 2.68

=====

## PuInO3 (PBE)

Data for PuInO3 after structural relaxation.

**Spin magnetization**: 5.0 Bohr magnetons per cell

Cell: 4.1486 4.1486 4.1486 Å, 90.00 90.00 90.00°
Closest atoms and distances in Å follow each position.
Space group Pm-3m (No. 221)
One atom of each set of equivalent atoms:
Pu1 0.0000 0.0000 0.0000  12 O 2.93
In1 0.5000 0.5000 0.5000  6 O 2.07
O1 0.0000 0.5000 0.5000  2 In 2.07

=====

## CrIr3 (PBE)

Data for CrIr3 after structural relaxation.

Cell: 5.4387 5.4387 4.3181 Å, 90.00 90.00 120.00°
Closest atoms and distances in Å follow each position.
Space group P6_3/mmc (No. 194)
One atom of each set of equivalent atoms:
Cr1 0.3333 0.6667 0.2500  12 Ir 2.66-2.72
Ir1 0.1692 0.3385 0.7500  4 Cr 2.66-2.72, 8 Ir 2.68-2.76

=====

no.,E_tot (eV/f.u.),calculated volume (Å³/cell)
1,-67.4,608.42
2,-179.5,432.16
3,-35.9,425.69
4,-15.7,397.77
5,-83.0,1701.81
6,-5.3,14.66
7,-42.3,183.79
8,-31.2,54.81
9,-29.0,220.28
10,-15.3,436.60
11,-40.8,71.40
12,-37.1,110.61